[1]
10
Lattice="3.251 -3.884 0.000 3.251 3.884 0.000 -1.009 0.000 4.335" Properties=species:S:1:pos:R:3 comment="MnP2O7 | the Materials Project | PBE with a Hubbard U | optimized geometry" formation_enthalpy_0k_mev_per_atom=-2331 vol_a3_per_atom=10.95 polymorph_energy_kcal_per_mol_atoms=1.222 piezo_max_c_m2=1.28 spacegroup=C2 energy_ev_per_atom=-7.15 pbc="T T T"
Mn 0.000 0.000 0.000
P 1.332 -1.141 2.563
P 4.160 -1.141 1.771
O 1.687 2.563 3.101
O 0.728 -0.106 3.526
O 3.806 2.563 1.234
O 2.746 -0.488 2.167
O 1.561 -2.511 3.177
O 4.765 -0.106 0.809
O 3.932 -2.511 1.158


[2]
32
Lattice="0.000 5.051 -0.002 -7.574 0.003 -6.570 -2.471 -0.002 6.537" Properties=species:S:1:pos:R:3 comment="VGa2O5 | the Materials Project | PBE with a Hubbard U | optimized geometry" formation_enthalpy_0k_mev_per_atom=-2305 vol_a3_per_atom=10.38 energy_ev_per_atom=-6.65 pbc="T T T"
O -5.242 3.278 -4.256
O -1.858 1.016 4.906
O -7.353 4.299 -2.335
O -4.410 3.543 -1.647
O -4.023 0.838 -0.313
O -7.808 1.686 -3.591
O -4.791 0.838 -2.987
O -5.258 4.211 2.961
O -2.239 3.362 3.566
O -4.800 1.771 4.220
O -6.021 4.216 0.283
O -3.570 3.277 0.951
O -8.592 0.752 0.935
O -2.689 0.750 2.299
O -9.045 3.364 -0.331
O -5.640 1.503 1.619
O -6.487 1.769 -0.973
O -1.000 1.691 0.300
O -8.192 4.030 -4.935
O -1.464 4.295 -0.958
Ga -2.983 0.017 -1.788
Ga -3.276 2.539 5.043
Ga -7.066 5.037 1.757
Ga -6.773 2.513 -5.074
Ga -5.827 0.016 -1.510
Ga -2.043 2.511 1.773
Ga -8.005 2.542 -1.805
Ga -4.222 5.036 1.480
V -3.787 2.526 -3.283
V -0.002 5.049 -0.001
V -5.025 2.524 -0.017
V -8.810 5.052 -3.301


[3]
40
Lattice="6.292 0.000 0.000 0.000 6.296 0.000 -1.644 0.000 18.227" Properties=species:S:1:pos:R:3 comment="K2MoHO2F4 | the Materials Project | PBE with a Hubbard U | optimized geometry" formation_enthalpy_0k_mev_per_atom=-2212 vol_a3_per_atom=18.05 spacegroup=P2_1/c energy_ev_per_atom=-4.97 pbc="T T T"
K 1.080 1.060 1.880
K 0.258 2.089 10.994
K 1.175 4.086 4.567
K 0.353 5.358 13.680
K 4.294 0.938 4.546
K 3.472 2.210 13.659
K 4.390 4.208 7.233
K 3.568 5.237 16.346
Mo 1.259 0.977 6.741
Mo 0.437 2.172 15.854
Mo 4.211 4.125 2.373
Mo 3.389 5.320 11.486
H 0.579 4.286 8.951
H -0.243 5.158 18.064
H 4.891 1.138 0.162
H 4.069 2.010 9.276
O 0.932 1.113 8.445
O 0.110 2.035 17.558
O 2.089 0.192 11.568
O 2.911 2.956 2.455
O 1.737 3.340 15.772
O 2.559 6.104 6.658
O 4.538 4.261 0.668
O 3.716 5.184 9.782
F -1.076 0.815 15.399
F -0.254 2.333 6.286
F -0.968 3.508 15.429
F -0.146 5.937 6.316
F 1.368 1.152 4.646
F 0.546 1.996 13.759
F 1.609 0.586 15.766
F 2.431 2.563 6.653
F 2.216 3.734 11.574
F 3.038 5.711 2.460
F 4.101 4.301 4.468
F 3.279 5.144 13.581
F 4.794 0.359 11.911
F 5.616 2.789 2.797
F 4.902 3.963 11.941
F 5.724 5.482 2.828


[4]
72
Lattice="-5.679 5.679 6.428 5.679 -5.679 6.428 5.679 5.679 -6.428" Properties=species:S:1:pos:R:3 comment="Li3LaNiO4 | the Materials Project | PBE with a Hubbard U | optimized geometry" formation_enthalpy_0k_mev_per_atom=-2293 vol_a3_per_atom=11.52 polymorph_energy_kcal_per_mol_atoms=0.120 spacegroup=I4_1/a energy_ev_per_atom=-5.73 pbc="T T T"
Li 5.468 1.005 -0.831
Li 7.513 2.629 -2.383
Li 3.845 3.050 -2.383
Li -0.158 1.016 0.762
Li 1.740 2.785 -0.786
Li 3.939 -2.785 5.642
Li 5.625 1.100 2.428
Li 5.890 4.674 -0.831
Li -0.054 1.100 4.000
Li 1.823 2.681 2.452
Li -1.823 2.997 2.452
Li 0.158 4.663 0.762
Li 5.521 1.016 5.666
Li 7.502 2.681 3.976
Li 3.855 2.997 3.976
Li 5.733 4.579 2.428
Li -0.211 1.005 7.259
Li 0.054 4.579 4.000
Li 1.740 8.464 0.786
Li 3.939 2.894 7.214
Li 5.837 4.663 5.666
Li 1.834 2.629 8.811
Li -1.834 3.050 8.811
Li 0.211 4.674 7.259
La 2.978 0.162 0.983
La 8.681 -0.138 2.231
La 3.002 -0.138 4.197
La 2.978 5.841 -0.983
La 2.701 -0.162 7.411
La 2.677 5.817 2.231
La -3.002 5.817 4.197
La 2.701 5.516 5.445
Ni 5.990 4.677 -3.983
Ni 5.990 -1.002 3.983
Ni 7.517 2.528 0.769
Ni 3.841 3.151 0.769
Ni 1.838 2.528 5.659
Ni -1.838 3.151 5.659
Ni -0.312 6.680 2.445
Ni -0.312 1.002 10.411
O 0.921 0.985 -0.883
O 2.040 -1.806 2.470
O 3.674 1.868 -0.747
O 4.708 -0.835 2.467
O 6.713 0.799 0.744
O 7.719 -1.806 3.958
O 9.380 1.747 0.836
O 4.708 4.844 -2.467
O 1.093 0.861 2.378
O 2.005 -1.868 5.681
O 4.758 -0.985 5.545
O 3.825 1.919 2.331
O 6.772 0.861 4.050
O 1.978 3.932 0.836
O 4.645 4.879 0.744
O -1.854 1.919 4.097
O 7.533 3.760 2.331
O 1.034 0.799 5.684
O 3.701 1.747 5.592
O -1.093 4.818 2.378
O 1.854 3.760 4.097
O 0.921 6.664 0.883
O 3.674 7.547 0.747
O 4.586 4.818 4.050
O 0.971 0.835 8.895
O -3.701 3.932 5.592
O -2.040 7.485 2.470
O -1.034 4.879 5.684
O 0.971 6.513 3.961
O 2.005 3.811 7.175
O 3.639 7.485 3.958
O 4.758 4.694 7.311


[5]
40
Lattice="5.319 0.000 0.000 -1.394 8.097 0.000 -1.102 -1.259 13.566" Properties=species:S:1:pos:R:3 comment="Li2MoP4O13 | the Materials Project | PBE with a Hubbard U | optimized geometry" formation_enthalpy_0k_mev_per_atom=-2592 vol_a3_per_atom=14.61 polymorph_energy_kcal_per_mol_atoms=0.000 spacegroup=P-1 energy_ev_per_atom=-7.02 pbc="T T T"
Li -0.416 2.738 0.198
Li 0.086 3.135 6.684
Li 2.737 3.703 6.882
Li 3.239 4.100 13.368
Mo 0.988 -0.313 9.951
Mo 1.835 7.151 3.615
P -0.820 5.594 4.932
P 0.582 0.597 2.167
P -0.469 2.528 11.010
P 0.801 4.755 9.327
P 2.023 2.084 4.239
P 3.292 4.310 2.556
P 2.241 6.241 11.398
P 3.643 1.244 8.634
O -0.580 0.160 8.745
O -0.838 4.760 3.518
O -1.048 4.622 6.050
O -1.710 6.923 11.224
O -1.043 2.761 12.372
O 0.673 1.410 0.925
O 0.710 1.605 3.470
O -0.022 3.960 10.463
O -0.068 5.956 8.989
O 0.300 7.629 2.358
O 0.686 1.548 10.900
O 0.565 6.253 4.938
O 1.619 2.966 5.375
O 1.204 3.872 8.190
O 2.258 0.585 8.628
O 2.137 5.290 2.665
O 2.523 -0.791 11.208
O 2.891 0.883 4.577
O 2.846 2.878 3.103
O 2.113 5.234 10.096
O 2.150 5.428 12.641
O 3.866 4.077 1.193
O 4.533 -0.085 2.342
O 3.871 2.216 7.516
O 3.662 2.078 10.048
O 3.403 6.678 4.821


[6]
100
Lattice="10.746 0.000 0.000 -5.373 9.306 0.000 0.000 0.000 11.009" Properties=species:S:1:pos:R:3 comment="Na11Co13O26 | the Materials Project | PBE with a Hubbard U | optimized geometry" formation_enthalpy_0k_mev_per_atom=-1468 vol_a3_per_atom=11.01 spacegroup=P-3 energy_ev_per_atom=-5.40 pbc="T T T"
Na 0.000 0.000 2.721
Na 0.000 0.000 8.288
Na -2.959 5.540 2.752
Na -0.777 3.128 2.749
Na -1.719 6.747 8.259
Na -2.276 8.415 2.749
Na 0.389 4.444 8.259
Na 0.000 6.204 2.756
Na 2.320 2.236 8.261
Na 2.054 3.974 2.752
Na 4.469 0.208 8.258
Na 4.043 1.885 2.750
Na 1.330 7.421 8.259
Na 0.904 9.098 2.752
Na 3.319 5.332 8.258
Na 3.053 7.070 2.749
Na 5.373 3.102 8.254
Na 4.984 4.862 2.750
Na 7.649 0.891 8.261
Na 7.092 2.559 2.750
Na 6.150 6.179 8.261
Na 8.331 3.766 8.258
Co 0.000 0.000 0.000
Co 0.000 0.000 5.505
Co -3.318 7.167 5.501
Co -3.328 7.172 11.004
Co -1.256 5.041 0.026
Co -1.242 5.031 5.484
Co 0.826 2.838 11.004
Co 0.825 2.849 5.501
Co 2.871 0.704 0.005
Co 2.880 0.710 5.508
Co -0.395 7.867 5.484
Co -0.379 7.874 0.026
Co 1.635 5.697 0.026
Co 1.637 5.715 5.484
Co 3.736 3.591 5.525
Co 3.738 3.609 10.983
Co 5.752 1.433 10.983
Co 5.768 1.440 5.525
Co 2.493 8.596 5.501
Co 2.502 8.602 11.004
Co 4.548 6.457 5.508
Co 4.547 6.468 0.005
Co 6.615 4.275 5.525
Co 6.629 4.265 10.983
Co 8.701 2.135 0.005
Co 8.691 2.139 5.508
O -2.921 5.520 6.597
O -2.901 5.509 9.909
O -0.381 1.585 1.002
O -0.370 1.606 4.508
O -0.833 3.367 10.003
O -0.844 3.411 6.523
O -3.797 8.824 4.508
O -3.810 8.844 1.002
O 1.182 1.123 10.007
O 1.206 1.123 6.501
O -1.670 6.639 1.100
O -1.666 6.633 4.403
O -2.041 8.344 10.003
O -1.997 8.331 6.523
O 0.458 4.540 1.100
O 0.462 4.547 4.403
O 0.000 6.204 6.577
O 0.000 6.204 9.929
O 2.500 2.405 1.006
O 2.532 2.437 4.487
O 2.053 4.017 6.597
O 2.052 4.039 9.909
O 4.505 0.230 4.412
O 4.524 0.242 1.100
O 4.161 1.873 9.909
O 4.168 1.873 6.606
O 1.204 7.433 4.403
O 1.212 7.433 1.100
O 0.849 9.064 9.909
O 0.868 9.076 6.597
O 3.321 5.267 1.100
O 3.320 5.289 4.412
O 2.840 6.870 6.523
O 2.873 6.901 10.003
O 5.373 3.102 1.080
O 5.373 3.102 4.433
O 4.911 4.759 6.606
O 4.915 4.766 9.909
O 7.369 0.975 4.487
O 7.414 0.962 1.006
O 7.039 2.673 6.606
O 7.043 2.667 9.909
O 4.167 8.183 4.508
O 4.191 8.184 1.002
O 9.183 0.462 10.007
O 9.170 0.482 6.501
O 6.217 5.895 4.487
O 6.206 5.939 1.006
O 5.743 7.700 6.501
O 5.754 7.721 10.007
O 8.274 3.797 1.100
O 8.294 3.786 4.412


Size of the total moment in Bohr magnetons per cell, matching the order above: 3.000; 4.019; 4.000; 16.000; 4.000; 4.012